(1)
# Ta6S | the Materials Project database | PBE | relaxed
data_Ta6S
_space_group_name_H-M_alt 'P -1'
_space_group_IT_number 2
_cell_length_a 5.282
_cell_length_b 7.574
_cell_length_c 7.579
_cell_angle_alpha 113.81
_cell_angle_beta 98.41
_cell_angle_gamma 109.04
loop_
_space_group_symop_operation_xyz
'x,y,z'
'-x,-y,-z'
loop_
_atom_site_label
_atom_site_fract_x
_atom_site_fract_y
_atom_site_fract_z
Ta1 0.000 0.000 0.000
Ta2 0.003 0.372 0.295
Ta3 0.149 0.721 0.150
Ta4 0.229 0.064 0.692
Ta5 0.442 0.225 0.410
Ta6 0.472 0.425 0.137
Ta7 0.500 0.000 0.000
S1 0.075 0.300 0.585
# E_tot, eV per atom: -11.02
# Calculated volume, Å³/f.u.: 124.1
# Excess energy over the best structure of this formula in the dataset, eV per atom: 0.001
# Calculated formation energy, eV/atom: -0.336
# Mass density, Mg/m³: 15.0

---

(2)
# TaS2 | the Materials Project database | PBE | relaxed
data_TaS2
_space_group_name_H-M_alt 'R -3 m'
_space_group_IT_number 166
_space_group_name_Hall '-R 3 2"'
_cell_length_a 3.3744
_cell_length_b 3.3744
_cell_length_c 20.3089
_cell_angle_alpha 90.00
_cell_angle_beta 90.00
_cell_angle_gamma 120.00
loop_
_atom_site_label
_atom_site_fract_x
_atom_site_fract_y
_atom_site_fract_z
Ta1 0.0000 0.0000 0.0000
S1 0.0000 0.0000 0.2576
# E_tot, eV per atom: -7.74
# Calculated volume, Å³/f.u.: 66.8
# Calculated formation energy, eV/atom: -1.361
# Mass density, Mg/m³: 6.1

---

(3)
# TaS2 | the Materials Project database | PBE | relaxed
data_TaS2
_space_group_name_H-M_alt 'P 63/m m c'
_space_group_IT_number 194
_space_group_name_Hall '-P 6c 2c'
_cell_length_a 3.3421
_cell_length_b 3.3421
_cell_length_c 13.7602
_cell_angle_alpha 90.00
_cell_angle_beta 90.00
_cell_angle_gamma 120.00
loop_
_atom_site_label
_atom_site_fract_x
_atom_site_fract_y
_atom_site_fract_z
Ta1 0.0000 0.0000 0.2500
S1 0.3333 0.6667 0.1364
# E_tot, eV per atom: -7.76
# Calculated volume, Å³/f.u.: 66.6
# Calculated formation energy, eV/atom: -1.384
# Mass density, Mg/m³: 6.1

---

(4)
# TaS2 | the Materials Project database | PBE | relaxed
data_TaS2
_space_group_name_H-M_alt 'R 3 m'
_space_group_IT_number 160
_space_group_name_Hall 'R 3 -2"'
_cell_length_a 3.3635
_cell_length_b 3.3635
_cell_length_c 39.2923
_cell_angle_alpha 90.00
_cell_angle_beta 90.00
_cell_angle_gamma 120.00
loop_
_atom_site_label
_atom_site_fract_x
_atom_site_fract_y
_atom_site_fract_z
Ta1 0.0000 0.0000 0.0000
Ta2 0.0000 0.0000 0.1659
S1 0.0000 0.0000 0.4602
S2 0.0000 0.0000 0.6271
S3 0.0000 0.0000 0.7062
S4 0.0000 0.0000 0.8717
# E_tot, eV per atom: -7.75
# Calculated volume, Å³/f.u.: 64.2
# Calculated formation energy, eV/atom: -1.377
# Mass density, Mg/m³: 6.3

---

(5)
# Ta20Te5S3 | the Materials Project database | PBE | relaxed
data_Ta20Te5S3
_space_group_name_H-M_alt 'C 1 2/c 1'
_space_group_IT_number 15
_cell_length_a 15.676
_cell_length_b 14.396
_cell_length_c 10.550
_cell_angle_alpha 90.00
_cell_angle_beta 108.45
_cell_angle_gamma 90.00
loop_
_space_group_symop_operation_xyz
'x,y,z'
'-x,-y,-z'
'-x,y,-z+1/2'
'x,-y,z+1/2'
'x+1/2,y+1/2,z'
'-x+1/2,-y+1/2,-z'
'-x+1/2,y+1/2,-z+1/2'
'x+1/2,-y+1/2,z+1/2'
loop_
_atom_site_label
_atom_site_fract_x
_atom_site_fract_y
_atom_site_fract_z
Ta1 0.000 0.064 0.250
Ta2 0.056 0.246 0.906
Ta3 0.077 0.174 0.473
Ta4 0.081 0.106 0.727
Ta5 0.083 0.044 0.009
Ta6 0.143 0.211 0.198
Ta7 0.158 0.287 0.721
Ta8 0.196 0.051 0.356
Ta9 0.232 0.161 0.954
Ta10 0.242 0.107 0.670
Ta11 0.250 0.250 0.500
Te1 0.000 0.404 0.750
Te2 0.109 0.396 0.098
Te3 0.123 0.390 0.475
S1 0.000 0.241 0.250
S2 0.250 0.070 0.160
# E_tot, eV per atom: -9.78
# Calculated volume, Å³/f.u.: 564.6
# Calculated formation energy, eV/atom: -0.363
# Mass density, Mg/m³: 12.8

---

(6)
# Ta6Te3S | the Materials Project database | PBE | relaxed
data_Ta6Te3S
_space_group_name_H-M_alt 'P -1'
_space_group_IT_number 2
_cell_length_a 10.205
_cell_length_b 10.388
_cell_length_c 13.892
_cell_angle_alpha 79.41
_cell_angle_beta 81.36
_cell_angle_gamma 86.17
loop_
_space_group_symop_operation_xyz
'x,y,z'
'-x,-y,-z'
loop_
_atom_site_label
_atom_site_fract_x
_atom_site_fract_y
_atom_site_fract_z
Ta1 0.000 0.000 0.000
Ta2 0.000 0.000 0.500
Ta3 0.029 0.902 0.188
Ta4 0.050 0.509 0.592
Ta5 0.058 0.793 0.854
Ta6 0.069 0.760 0.393
Ta7 0.071 0.266 0.932
Ta8 0.099 0.758 0.636
Ta9 0.104 0.630 0.221
Ta10 0.115 0.520 0.808
Ta11 0.118 0.499 0.038
Ta12 0.131 0.066 0.308
Ta13 0.135 0.356 0.251
Ta14 0.144 0.035 0.646
Ta15 0.147 0.248 0.464
Ta16 0.165 0.285 0.707
Ta17 0.211 0.780 0.025
Ta18 0.237 0.025 0.837
Ta19 0.262 0.057 0.033
Te1 0.229 0.517 0.406
Te2 0.264 0.886 0.468
Te3 0.297 0.860 0.211
Te4 0.307 0.540 0.642
Te5 0.347 0.261 0.856
Te6 0.347 0.532 0.126
Te7 0.360 0.205 0.310
Te8 0.368 0.187 0.574
Te9 0.457 0.888 0.926
S1 0.179 0.261 0.094
S2 0.251 0.634 0.896
S3 0.267 0.850 0.731
# E_tot, eV per atom: -8.86
# Calculated volume, Å³/f.u.: 238.3
# Calculated formation energy, eV/atom: -0.442
# Mass density, Mg/m³: 10.5

---

(7)
# TaTlS3 | the Materials Project database | PBE | relaxed
data_TaTlS3
_space_group_name_H-M_alt 'P n m a'
_space_group_IT_number 62
_cell_length_a 9.427
_cell_length_b 3.523
_cell_length_c 14.725
_cell_angle_alpha 90.00
_cell_angle_beta 90.00
_cell_angle_gamma 90.00
loop_
_space_group_symop_operation_xyz
'x,y,z'
'-x,-y,-z'
'-x+1/2,-y,z+1/2'
'x+1/2,y,-z+1/2'
'x+1/2,-y+1/2,-z+1/2'
'-x+1/2,y+1/2,z+1/2'
'-x,y+1/2,-z'
'x,-y+1/2,z'
loop_
_atom_site_label
_atom_site_fract_x
_atom_site_fract_y
_atom_site_fract_z
Ta1 0.159 0.250 0.070
Tl1 0.017 0.750 0.327
S1 0.023 0.250 0.904
S2 0.193 0.250 0.502
S3 0.249 0.250 0.212
# E_tot, eV per atom: -6.11
# Calculated volume, Å³/f.u.: 122.3
# Calculated formation energy, eV/atom: -1.091
# Mass density, Mg/m³: 6.5

---

(8)
# TaTl6VS8 | the Materials Project database | PBE | relaxed
data_TaTl6VS8
_space_group_name_H-M_alt 'P -4 3 m'
_space_group_IT_number 215
_space_group_name_Hall 'P -4 2 3'
_cell_length_a 7.756
_cell_length_b 7.756
_cell_length_c 7.756
_cell_angle_alpha 90.00
_cell_angle_beta 90.00
_cell_angle_gamma 90.00
loop_
_atom_site_label
_atom_site_fract_x
_atom_site_fract_y
_atom_site_fract_z
Ta1 0.000 0.000 0.000
Tl1 0.000 0.000 0.500
Tl2 0.000 0.500 0.500
V1 0.500 0.500 0.500
S1 0.170 0.170 0.170
S2 0.338 0.338 0.662
# E_tot, eV per atom: -4.91
# Calculated volume, Å³/f.u.: 466.6
# Calculated formation energy, eV/atom: -0.896
# Mass density, Mg/m³: 6.1

---

(9)
# Ta3VS6 | the Materials Project database | PBE | relaxed
data_Ta3VS6
_space_group_name_H-M_alt 'P 63 2 2'
_space_group_IT_number 182
_space_group_name_Hall 'P 6c 2c'
_cell_length_a 5.7778
_cell_length_b 5.7778
_cell_length_c 12.2502
_cell_angle_alpha 90.00
_cell_angle_beta 90.00
_cell_angle_gamma 120.00
loop_
_atom_site_label
_atom_site_fract_x
_atom_site_fract_y
_atom_site_fract_z
Ta1 0.0000 0.0000 0.0000
Ta2 0.3333 0.6667 0.0023
V1 0.3333 0.6667 0.7500
S1 0.0020 0.3338 0.6286
# E_tot, eV per atom: -8.09
# Calculated volume, Å³/f.u.: 177.1
# Calculated formation energy, eV/atom: -1.441
# Mass density, Mg/m³: 7.4

---

(10)
# Ta3WS8 | the Materials Project database | PBE | relaxed
data_Ta3WS8
_space_group_name_H-M_alt 'I m m 2'
_space_group_IT_number 44
_cell_length_a 3.308
_cell_length_b 26.050
_cell_length_c 5.740
_cell_angle_alpha 90.00
_cell_angle_beta 90.00
_cell_angle_gamma 90.00
loop_
_space_group_symop_operation_xyz
'x,y,z'
'-x,-y,z'
'-x,y,z'
'x,-y,z'
'x+1/2,y+1/2,z+1/2'
'-x+1/2,-y+1/2,z+1/2'
'-x+1/2,y+1/2,z+1/2'
'x+1/2,-y+1/2,z+1/2'
loop_
_atom_site_label
_atom_site_fract_x
_atom_site_fract_y
_atom_site_fract_z
Ta1 0.000 0.000 0.000
Ta2 0.000 0.250 0.005
W1 0.000 0.500 0.007
S1 0.000 0.059 0.342
S2 0.000 0.190 0.670
S3 0.000 0.311 0.670
S4 0.000 0.440 0.333
# E_tot, eV per atom: -7.78
# Calculated volume, Å³/f.u.: 247.3
# Calculated formation energy, eV/atom: -1.309
# Mass density, Mg/m³: 6.6

---

(11)
# TbS | the Materials Project database | PBE | relaxed
data_TbS
_space_group_name_H-M_alt 'F m -3 m'
_space_group_IT_number 225
_space_group_name_Hall '-F 4 2 3'
_cell_length_a 5.553
_cell_length_b 5.553
_cell_length_c 5.553
_cell_angle_alpha 90.00
_cell_angle_beta 90.00
_cell_angle_gamma 90.00
loop_
_atom_site_label
_atom_site_fract_x
_atom_site_fract_y
_atom_site_fract_z
Tb1 0.000 0.000 0.000
S1 0.000 0.000 0.500
# E_tot, eV per atom: -6.39
# Calculated volume, Å³/f.u.: 42.8
# Calculated formation energy, eV/atom: -2.258
# Mass density, Mg/m³: 7.4

---

(12)
# Tb11S16 | the Materials Project database | PBE | relaxed
data_Tb11S16
_space_group_name_H-M_alt 'P 21 21 2'
_space_group_IT_number 18
_cell_length_a 8.369
_cell_length_b 16.803
_cell_length_c 8.312
_cell_angle_alpha 90.00
_cell_angle_beta 90.00
_cell_angle_gamma 90.00
loop_
_space_group_symop_operation_xyz
'x,y,z'
'-x,-y,z'
'x+1/2,-y+1/2,-z'
'-x+1/2,y+1/2,-z'
loop_
_atom_site_label
_atom_site_fract_x
_atom_site_fract_y
_atom_site_fract_z
Tb1 0.000 0.000 0.129
Tb2 0.004 0.750 0.379
Tb3 0.124 0.622 0.767
Tb4 0.139 0.120 0.757
Tb5 0.244 0.439 0.481
Tb6 0.250 0.319 0.000
S1 0.062 0.090 0.437
S2 0.073 0.669 0.080
S3 0.074 0.158 0.076
S4 0.077 0.592 0.443
S5 0.171 0.961 0.833
S6 0.174 0.283 0.682
S7 0.184 0.462 0.804
S8 0.184 0.783 0.680
# E_tot, eV per atom: -6.38
# Calculated volume, Å³/f.u.: 584.4
# Calculated formation energy, eV/atom: -2.343
# Mass density, Mg/m³: 6.4